Entry 1:
# Ta3Cu

A relaxed structure of Ta3Cu (PBE-GGA, Materials Project).

a = 5.0755 Å, b = 5.0755 Å, c = 5.0755 Å
α = 133.43°, β = 133.43°, γ = 67.98°
Sites, in units of the cell vectors:
Ta  0.7500  0.2500  0.5000
Ta  0.2500  0.7500  0.5000
Ta  0.5000  0.5000  0.0000
Cu  0.0000  0.0000  0.0000

Computed properties:
- Raw total energy: -9.75 eV per atom
- Symmetry: I4/mmm, No. 139

***

Entry 2:
# Ba3LiTi5Sb3O21

A relaxed structure of Ba3LiTi5Sb3O21 (PBE-GGA, Materials Project).

a = 9.1787 Å, b = 9.1787 Å, c = 11.7994 Å
α = 90.00°, β = 90.00°, γ = 120.13°
Sites, in units of the cell vectors:
O  0.8316  0.3118  0.1003
O  0.7942  0.0001  0.7493
O  0.1666  0.4805  0.4008
O  0.8321  0.5152  0.6024
O  0.1710  0.6839  0.8946
O  0.2058  0.9999  0.2493
O  0.9999  0.2058  0.2493
O  0.7968  0.0028  0.4274
O  0.7959  0.7959  0.5726
O  0.7951  0.9954  0.0742
O  0.0001  0.7942  0.7493
O  0.1679  0.4848  0.1024
O  0.5117  0.6818  0.1089
O  0.4883  0.3182  0.6089
O  0.3161  0.8290  0.3946
O  0.0028  0.7968  0.4274
O  0.4837  0.3172  0.9002
O  0.2041  0.2041  0.0726
O  0.2049  0.0046  0.5742
O  0.7988  0.7988  0.9201
O  0.8290  0.3161  0.3946
O  0.6818  0.5117  0.1089
O  0.6828  0.5163  0.4002
O  0.2024  0.2024  0.7521
O  0.5163  0.6828  0.4002
O  0.6839  0.1710  0.8946
O  0.4848  0.1679  0.1024
O  0.9954  0.7951  0.0742
O  0.3182  0.4883  0.6089
O  0.1684  0.6882  0.6003
O  0.2032  0.9972  0.9274
O  0.0046  0.2049  0.5742
O  0.2012  0.2012  0.4201
O  0.9972  0.2032  0.9274
O  0.3118  0.8316  0.1003
O  0.4805  0.1666  0.4008
O  0.5152  0.8321  0.6024
O  0.5195  0.8334  0.9008
O  0.8334  0.5195  0.9008
O  0.6882  0.1684  0.6003
O  0.3172  0.4837  0.9002
O  0.7976  0.7976  0.2521
Ti  0.0081  0.7513  0.9041
Ti  0.0035  0.2538  0.0874
Ti  0.9965  0.7462  0.5874
Ti  0.2538  0.0035  0.0874
Ti  0.2487  0.9919  0.4041
Ti  0.7468  0.7468  0.4129
Ti  0.9919  0.2487  0.4041
Ti  0.2532  0.2532  0.9129
Ti  0.7462  0.9965  0.5874
Ti  0.7513  0.0081  0.9041
Sb  0.2428  0.2428  0.5864
Sb  0.7572  0.7572  0.0864
Sb  0.6679  0.3346  0.0002
Sb  0.6654  0.3321  0.5002
Sb  0.3346  0.6679  0.0002
Sb  0.3321  0.6654  0.5002
Li  0.0031  0.0031  0.2548
Li  0.9969  0.9969  0.7548
Ba  0.5984  0.5984  0.7518
Ba  0.0015  0.5953  0.2499
Ba  0.5953  0.0015  0.2499
Ba  0.9985  0.4047  0.7499
Ba  0.4047  0.9985  0.7499
Ba  0.4016  0.4016  0.2518

Computed properties:
- Relative energy among the computed polymorphs: 0 meV/atom
- Energy with MP2020 corrections: -7.9338 eV per atom
- Symmetry: Cmc2_1, No. 36

***

Entry 3:
# Zn2TeSe

A relaxed structure of Zn2TeSe (PBE-GGA, Materials Project).

a = 7.3009 Å, b = 7.3009 Å, c = 7.3009 Å
α = 33.64°, β = 33.64°, γ = 33.64°
Sites, in units of the cell vectors:
Zn  0.9951  0.9951  0.9951
Zn  0.5048  0.5048  0.5048
Te  0.3753  0.3753  0.3753
Se  0.8749  0.8749  0.8749

Computed properties:
- Energy with MP2020 corrections: -2.9744 eV per atom
- Symmetry: R3m, No. 160

***

Entry 4:
# NaNbO3

A relaxed structure of NaNbO3 (PBE-GGA, Materials Project).

a = 7.9073 Å, b = 7.9527 Å, c = 15.9402 Å
α = 90.00°, β = 90.00°, γ = 90.00°
Sites, in units of the cell vectors:
Na  0.0000  0.5000  0.8777
Na  0.5000  0.5000  0.8765
Na  0.0000  0.0000  0.6208
Na  0.5000  0.0000  0.6229
Na  0.0000  0.5000  0.3771
Na  0.0000  0.5000  0.1296
Na  0.5000  0.0000  0.3741
Na  0.0000  0.0000  0.1235
Na  0.5000  0.5000  0.6270
Na  0.5000  0.5000  0.1264
Na  0.5000  0.0000  0.8704
Na  0.5000  0.0000  0.1223
Na  0.0000  0.5000  0.6259
Na  0.0000  0.0000  0.8736
Na  0.5000  0.5000  0.3792
Na  0.0000  0.0000  0.3730
O  0.2216  0.2495  0.6251
O  0.7784  0.2495  0.6251
O  0.0000  0.7120  0.2641
O  0.5000  0.2484  0.0176
O  0.0000  0.7484  0.9824
O  0.7544  0.0000  0.0094
O  0.0000  0.2516  0.9824
O  0.7838  0.2653  0.1249
O  0.0000  0.7107  0.7656
O  0.7162  0.2347  0.8751
O  0.7216  0.7495  0.3749
O  0.2784  0.2505  0.3749
O  0.2838  0.2347  0.8751
O  0.7216  0.2505  0.3749
O  0.7132  0.5000  0.7506
O  0.2216  0.7505  0.6251
O  0.2068  0.5000  0.4987
O  0.2544  0.5000  0.9906
O  0.7068  0.0000  0.5013
O  0.0000  0.2893  0.7656
O  0.7784  0.7505  0.6251
O  0.7070  0.5000  0.2516
O  0.2784  0.7495  0.3749
O  0.7932  0.5000  0.4987
O  0.7162  0.7653  0.8751
O  0.5000  0.2924  0.5140
O  0.5000  0.2120  0.7359
O  0.2868  0.5000  0.7506
O  0.5000  0.2107  0.2344
O  0.2132  0.0000  0.2494
O  0.2162  0.7347  0.1249
O  0.0000  0.7924  0.4860
O  0.5000  0.7893  0.2344
O  0.2932  0.0000  0.5013
O  0.2838  0.7653  0.8751
O  0.0000  0.2076  0.4860
O  0.7838  0.7347  0.1249
O  0.5000  0.7076  0.5140
O  0.5000  0.7516  0.0176
O  0.7930  0.0000  0.7484
O  0.7456  0.5000  0.9906
O  0.0000  0.2880  0.2641
O  0.5000  0.7880  0.7359
O  0.7868  0.0000  0.2494
O  0.2070  0.0000  0.7484
O  0.2930  0.5000  0.2516
O  0.2456  0.0000  0.0094
O  0.2162  0.2653  0.1249
Nb  0.7500  0.7500  0.0000
Nb  0.2502  0.2514  0.2498
Nb  0.7498  0.2514  0.2498
Nb  0.2500  0.2500  0.5000
Nb  0.7498  0.7486  0.2498
Nb  0.2500  0.2500  0.0000
Nb  0.7500  0.2500  0.5000
Nb  0.7502  0.2486  0.7502
Nb  0.2498  0.7514  0.7502
Nb  0.2498  0.2486  0.7502
Nb  0.2502  0.7486  0.2498
Nb  0.7500  0.2500  0.0000
Nb  0.2500  0.7500  0.0000
Nb  0.7502  0.7514  0.7502
Nb  0.7500  0.7500  0.5000
Nb  0.2500  0.7500  0.5000

Computed properties:
- Energy with MP2020 corrections: -8.0695 eV per atom
- Symmetry: Pmmn, No. 59

***

Entry 5:
# Ta3I7

A relaxed structure of Ta3I7 (PBE-GGA, Materials Project).

a = 11.1628 Å, b = 11.1628 Å, c = 12.9226 Å
α = 90.00°, β = 90.00°, γ = 93.82°
Sites, in units of the cell vectors:
I  0.2438  0.2438  0.5000
I  0.2562  0.2562  0.0000
I  0.9689  0.7869  0.2335
I  0.1189  0.8811  0.7373
I  0.2131  0.0311  0.2335
I  0.3811  0.6189  0.2373
I  0.5311  0.7131  0.7335
I  0.7131  0.5311  0.2665
I  0.7869  0.9689  0.7665
I  0.8738  0.6262  0.7500
I  0.0311  0.2131  0.7665
I  0.9177  0.3290  0.0192
I  0.6262  0.8738  0.2500
I  0.3738  0.1262  0.7500
I  0.8811  0.1189  0.2627
I  0.1262  0.3738  0.2500
I  0.3290  0.9177  0.9808
I  0.1710  0.5823  0.4808
I  0.4689  0.2869  0.2665
I  0.0823  0.6710  0.9808
I  0.8290  0.4177  0.5192
I  0.6189  0.3811  0.7627
I  0.6710  0.0823  0.0192
I  0.7562  0.7562  0.5000
I  0.7438  0.7438  0.0000
I  0.5823  0.1710  0.5192
I  0.4177  0.8290  0.4808
I  0.2869  0.4689  0.7335
Ta  0.5947  0.4053  0.4321
Ta  0.9445  0.8499  0.8947
Ta  0.0947  0.9053  0.0679
Ta  0.8499  0.9445  0.1053
Ta  0.3499  0.4445  0.3947
Ta  0.5555  0.6501  0.3947
Ta  0.6501  0.5555  0.6053
Ta  0.4053  0.5947  0.5679
Ta  0.0555  0.1501  0.1053
Ta  0.4445  0.3499  0.6053
Ta  0.9053  0.0947  0.9321
Ta  0.1501  0.0555  0.8947

Computed properties:
- Energy with MP2020 corrections: -5.3655 eV per atom
- Symmetry: Cmce, No. 64

***

Entry 6:
# CeSe2

A relaxed structure of CeSe2 (PBE-GGA, Materials Project).

a = 8.1649 Å, b = 11.8184 Å, c = 11.8311 Å
α = 114.00°, β = 102.47°, γ = 102.78°
Sites, in units of the cell vectors:
Se  0.8352  0.2034  0.2785
Se  0.3918  0.3751  0.2809
Se  0.1780  0.6092  0.5857
Se  0.3869  0.6273  0.9679
Se  0.3031  0.9867  0.9522
Se  0.3369  0.2916  0.6059
Se  0.8415  0.6311  0.8374
Se  0.6781  0.3502  0.9964
Ce  0.5647  0.4693  0.8544
Ce  0.5534  0.2286  0.1296
Ce  0.1798  0.7177  0.8376
Ce  0.1817  0.3650  0.4306

Computed properties:
- Energy with MP2020 corrections: -5.7164 eV per atom
- Symmetry: P1, No. 1

***

Entry 7:
# ThTlCuSe3

A relaxed structure of ThTlCuSe3 (PBE-GGA, Materials Project).

a = 7.5488 Å, b = 7.5488 Å, c = 10.9776 Å
α = 90.00°, β = 90.00°, γ = 147.58°
Sites, in units of the cell vectors:
Se  0.6305  0.3695  0.4348
Se  0.3695  0.6305  0.5652
Se  0.3695  0.6305  0.9348
Se  0.6305  0.3695  0.0652
Se  0.0665  0.9335  0.7500
Se  0.9335  0.0665  0.2500
Cu  0.5346  0.4654  0.2500
Cu  0.4654  0.5346  0.7500
Tl  0.2515  0.7485  0.2500
Tl  0.7485  0.2515  0.7500
Th  0.0000  0.0000  0.0000
Th  0.0000  0.0000  0.5000

Computed properties:
- Energy with MP2020 corrections: -5.3703 eV per atom
- Symmetry: Cmcm, No. 63

***

Entry 8:
# HfMg6BO7

A relaxed structure of HfMg6BO7 (PBE-GGA, Materials Project).

a = 8.8206 Å, b = 4.3223 Å, c = 4.3223 Å
α = 90.00°, β = 90.00°, γ = 90.00°
Sites, in units of the cell vectors:
O  0.2288  0.5000  0.5000
O  0.9760  0.0000  0.5000
O  0.7438  0.5000  0.5000
O  0.9760  0.5000  0.0000
O  0.4859  0.5000  0.0000
O  0.4859  0.0000  0.5000
O  0.7151  0.0000  0.0000
Mg  0.2452  0.5000  0.0000
Mg  0.7367  0.5000  0.0000
Mg  0.4913  0.0000  0.0000
Mg  0.2452  0.0000  0.5000
Mg  0.4888  0.5000  0.5000
Mg  0.7367  0.0000  0.5000
Hf  0.9876  0.5000  0.5000
B  0.2070  0.0000  0.0000

Computed properties:
- Relative energy among the computed polymorphs: 0 meV/atom
- Energy with MP2020 corrections: -6.4521 eV per atom
- Symmetry: P4mm, No. 99

***

Entry 9:
# Li3Sb5P6O24

A relaxed structure of Li3Sb5P6O24 (PBE-GGA, Materials Project).

a = 8.6415 Å, b = 8.7857 Å, c = 8.7875 Å
α = 108.70°, β = 109.02°, γ = 109.76°
Sites, in units of the cell vectors:
O  0.1623  0.4254  0.3535
O  0.2897  0.6285  0.2186
O  0.2717  0.9275  0.0755
O  0.4327  0.7610  0.5635
O  0.7761  0.5815  0.4205
O  0.9255  0.7081  0.8498
O  0.6567  0.8283  0.9076
O  0.0738  0.2572  0.9044
O  0.5801  0.4043  0.7731
O  0.2403  0.3148  0.6583
O  0.5905  0.8637  0.1660
O  0.8373  0.1525  0.5724
O  0.9308  0.0542  0.2348
O  0.7361  0.1669  0.8180
O  0.6593  0.3457  0.0867
O  0.6552  0.2442  0.3180
O  0.8329  0.9282  0.6970
O  0.3352  0.0723  0.6629
O  0.4257  0.3575  0.1977
O  0.7793  0.7086  0.1275
O  0.1024  0.6907  0.3634
O  0.3561  0.1908  0.4370
O  0.1499  0.5848  0.8592
O  0.1637  0.8090  0.7378
Sb  0.5061  0.0181  0.3301
Sb  0.6552  0.6853  0.6723
Sb  0.8171  0.4809  0.9961
Sb  0.0324  0.8475  0.5235
Sb  0.3140  0.4866  0.9900
Li  0.4987  0.9876  0.7807
Li  0.0102  0.2703  0.4628
Li  0.1943  0.2154  0.2390
P  0.8653  0.1302  0.7433
P  0.1276  0.7574  0.8830
P  0.2482  0.6170  0.3769
P  0.6242  0.3852  0.2560
P  0.7504  0.8717  0.1154
P  0.3711  0.2413  0.6276

Computed properties:
- Energy with MP2020 corrections: -7.0914 eV per atom
- Symmetry: P1, No. 1

***

Entry 10:
# KZnH2Cl3

A relaxed structure of KZnH2Cl3 (PBE-GGA, Materials Project).

a = 6.3217 Å, b = 11.2303 Å, c = 11.6255 Å
α = 90.00°, β = 108.38°, γ = 90.00°
Sites, in units of the cell vectors:
K  0.7668  0.8631  0.1350
K  0.7332  0.3631  0.3650
K  0.2668  0.6369  0.6350
K  0.2332  0.1369  0.8650
H  0.2893  0.1158  0.5701
H  0.7107  0.8842  0.4299
H  0.0838  0.6115  0.1643
H  0.5838  0.8885  0.6643
H  0.9162  0.3885  0.8357
H  0.7893  0.3842  0.0701
H  0.4162  0.1115  0.3357
H  0.2107  0.6158  0.9299
Zn  0.2223  0.1229  0.1963
Zn  0.7223  0.3771  0.6963
Zn  0.7777  0.8771  0.8037
Zn  0.2777  0.6229  0.3037
Cl  0.7249  0.0469  0.8954
Cl  0.8335  0.2150  0.6202
Cl  0.4262  0.3766  0.7601
Cl  0.1665  0.7850  0.3798
Cl  0.7751  0.5469  0.6046
Cl  0.3335  0.2850  0.1202
Cl  0.2751  0.9531  0.1046
Cl  0.9262  0.1234  0.2601
Cl  0.5738  0.6234  0.2399
Cl  0.0738  0.8766  0.7399
Cl  0.6665  0.7150  0.8798
Cl  0.2249  0.4531  0.3954

Computed properties:
- Energy with MP2020 corrections: -2.7712 eV per atom
- Symmetry: P2_1/c, No. 14

***

Entry 11:
# YMg14W

A relaxed structure of YMg14W (PBE-GGA, Materials Project).

a = 6.3988 Å, b = 6.3988 Å, c = 10.1736 Å
α = 90.00°, β = 90.00°, γ = 120.00°
Sites, in units of the cell vectors:
Mg  0.3289  0.6578  0.8580
Mg  0.3289  0.6578  0.3920
Mg  0.8333  0.6667  0.3672
Mg  0.1770  0.8385  0.1250
Mg  0.6689  0.3378  0.6250
Mg  0.3289  0.1711  0.8580
Mg  0.8422  0.1711  0.8580
Mg  0.1622  0.8311  0.6250
Mg  0.8422  0.1711  0.3920
Mg  0.3289  0.1711  0.3920
Mg  0.8333  0.6667  0.8828
Mg  0.6615  0.8385  0.1250
Mg  0.6615  0.3230  0.1250
Mg  0.6689  0.8311  0.6250
W  0.1667  0.3333  0.6250
Y  0.1667  0.3333  0.1250

Computed properties:
- Relative energy among the computed polymorphs: 34 meV/atom
- Symmetry: P-6m2, No. 187

***

Entry 12:
# Pr3Pd4

A relaxed structure of Pr3Pd4 (PBE-GGA, Materials Project).

a = 8.2315 Å, b = 8.2315 Å, c = 8.2315 Å
α = 114.50°, β = 114.50°, γ = 114.50°
Sites, in units of the cell vectors:
Pd  0.7778  0.9415  0.4471
Pd  0.0000  0.0000  0.0000
Pd  0.5529  0.2222  0.0585
Pd  0.4471  0.7778  0.9415
Pd  0.2222  0.0585  0.5529
Pd  0.5000  0.5000  0.5000
Pd  0.0585  0.5529  0.2222
Pd  0.9415  0.4471  0.7778
Pr  0.2794  0.4044  0.0275
Pr  0.0275  0.2794  0.4044
Pr  0.7206  0.5956  0.9725
Pr  0.4044  0.0275  0.2794
Pr  0.5956  0.9725  0.7206
Pr  0.9725  0.7206  0.5956

Computed properties:
- Raw total energy: -5.80 eV per atom
- Symmetry: R-3, No. 148